Computed, not measured: an optimized crystal structure of Na4Sc2SiP2O12 at the PBE level of DFT.

abc: 9.1577 9.1577 22.4259
angles: 90.00 90.00 120.00
Atoms (fractional coordinates):
1 Na 0.6386 0.0036 0.2513
2 Na 0.3614 0.3649 0.2487
3 Na 0.0001 0.6286 0.2500
4 Na 0.6351 0.6386 0.7487
5 Na 0.9964 0.3614 0.7513
6 Na 0.3714 0.9999 0.7500
7 Na 0.3022 0.3291 0.5822
8 Na 0.0377 0.7047 0.5817
9 Na 0.6626 0.9670 0.5862
10 Na 0.2953 0.9623 0.0817
11 Na 0.6709 0.6978 0.0822
12 Na 0.0330 0.3374 0.0862
13 Na 0.9721 0.6712 0.9194
14 Na 0.6946 0.0325 0.9139
15 Na 0.3333 0.2959 0.9167
16 Na 0.9675 0.3054 0.4139
17 Na 0.3288 0.0279 0.4194
18 Na 0.7041 0.6667 0.4167
19 Na 0.0054 0.9966 0.5000
20 Na 0.0034 0.9946 0.0000
21 Na 0.6640 0.3253 0.8334
22 Na 0.6747 0.3360 0.3334
23 Na 0.3253 0.6608 0.1666
24 Na 0.3392 0.6747 0.6666
25 Sc 0.9992 0.0006 0.3499
26 Sc 0.9994 0.0008 0.8499
27 Sc 0.9984 0.9982 0.6502
28 Sc 0.0018 0.0016 0.1502
29 Sc 0.6629 0.3233 0.6834
30 Sc 0.6767 0.3371 0.1834
31 Sc 0.6674 0.3351 0.9836
32 Sc 0.6649 0.3326 0.4836
33 Sc 0.3266 0.6697 0.0166
34 Sc 0.3303 0.6734 0.5166
35 Sc 0.3229 0.6601 0.3167
36 Sc 0.3399 0.6771 0.8167
37 Si 0.0000 0.2965 0.2500
38 Si 0.7035 0.0000 0.7500
39 Si 0.3670 0.0345 0.5828
40 Si 0.9655 0.6330 0.0828
41 Si 0.3334 0.9684 0.9167
42 Si 0.0316 0.6666 0.4167
43 P 0.2974 0.0014 0.2500
44 P 0.7028 0.7044 0.2500
45 P 0.2956 0.2972 0.7500
46 P 0.9986 0.7026 0.7500
47 P 0.9634 0.3335 0.5834
48 P 0.6661 0.6275 0.5838
49 P 0.6665 0.0366 0.0834
50 P 0.3725 0.3339 0.0838
51 P 0.6273 0.6655 0.9170
52 P 0.0392 0.3716 0.9162
53 P 0.6284 0.9608 0.4162
54 P 0.3345 0.3727 0.4170
55 O 0.2122 0.0272 0.3056
56 O 0.8160 0.7855 0.3055
57 O 0.9688 0.1777 0.3087
58 O 0.2145 0.1840 0.8055
59 O 0.9728 0.7878 0.8056
60 O 0.8223 0.0312 0.8087
61 O 0.7912 0.9689 0.6913
62 O 0.1849 0.2122 0.6943
63 O 0.0306 0.8159 0.6945
64 O 0.7878 0.8151 0.1943
65 O 0.0311 0.2088 0.1913
66 O 0.1841 0.9694 0.1945
67 O 0.8825 0.3654 0.6388
68 O 0.4873 0.1229 0.6413
69 O 0.6411 0.5185 0.6396
70 O 0.8771 0.5127 0.1413
71 O 0.6346 0.1175 0.1388
72 O 0.4815 0.3589 0.1396
73 O 0.4546 0.3044 0.0279
74 O 0.8454 0.5448 0.0244
75 O 0.6940 0.1483 0.0279
76 O 0.4552 0.1546 0.5244
77 O 0.6956 0.5454 0.5279
78 O 0.8517 0.3060 0.5279
79 O 0.5444 0.6924 0.9728
80 O 0.1506 0.4534 0.9719
81 O 0.3008 0.8469 0.9750
82 O 0.5466 0.8494 0.4719
83 O 0.3076 0.4556 0.4728
84 O 0.1531 0.6992 0.4750
85 O 0.1204 0.6340 0.3585
86 O 0.5187 0.8777 0.3605
87 O 0.3638 0.4839 0.3613
88 O 0.1223 0.4813 0.8605
89 O 0.3660 0.8796 0.8585
90 O 0.5161 0.6362 0.8613
91 O 0.0169 0.8383 0.4124
92 O 0.8067 0.9793 0.4121
93 O 0.1738 0.1955 0.4115
94 O 0.0207 0.1933 0.9121
95 O 0.1617 0.9831 0.9124
96 O 0.8045 0.8262 0.9115
97 O 0.9775 0.1716 0.5886
98 O 0.1794 0.0170 0.5874
99 O 0.8263 0.8057 0.5878
100 O 0.9830 0.8206 0.0874
101 O 0.8284 0.0225 0.0886
102 O 0.1943 0.1737 0.0878
103 O 0.6884 0.1724 0.7470
104 O 0.4748 0.3187 0.7448
105 O 0.8363 0.5281 0.7445
106 O 0.6813 0.5252 0.2448
107 O 0.8276 0.3116 0.2470
108 O 0.4719 0.1637 0.2445
109 O 0.6460 0.5059 0.9211
110 O 0.8621 0.3551 0.9218
111 O 0.5052 0.1548 0.9210
112 O 0.6449 0.1379 0.4218
113 O 0.4941 0.3540 0.4211
114 O 0.8452 0.4948 0.4210
115 O 0.3577 0.4949 0.0779
116 O 0.1517 0.6451 0.0802
117 O 0.5095 0.8574 0.0781
118 O 0.3549 0.8483 0.5802
119 O 0.5051 0.6423 0.5779
120 O 0.1426 0.4905 0.5781
121 O 0.3189 0.8439 0.2552
122 O 0.5282 0.6918 0.2555
123 O 0.1724 0.4840 0.2530
124 O 0.3082 0.4718 0.7555
125 O 0.1561 0.6811 0.7552
126 O 0.5160 0.8276 0.7530

Calculated values
**Formation energy from the elements**: -3.040 eV/atom
**SG**: No. 9